Here is a relaxed structure of Zn7Sb2O12 from Materials Project. Energies are from PBE.

Geometry as CIF:
```
data_Zn7Sb2O12
_symmetry_space_group_name_H-M 'P 1'
_symmetry_Int_Tables_number 1
_cell_length_a 6.176
_cell_length_b 6.176
_cell_length_c 13.680
_cell_angle_alpha 78.05
_cell_angle_beta 78.05
_cell_angle_gamma 90.00
loop_
_symmetry_equiv_pos_as_xyz
'x,y,z'
loop_
_atom_site_label
_atom_site_type_symbol
_atom_site_fract_x
_atom_site_fract_y
_atom_site_fract_z
Zn1 Zn 0.699 0.987 0.576
Zn2 Zn 0.013 0.301 0.924
Zn3 Zn 0.334 0.818 0.840
Zn4 Zn 0.987 0.699 0.076
Zn5 Zn 0.360 0.640 0.250
Zn6 Zn 0.818 0.334 0.340
Zn7 Zn 0.666 0.182 0.160
Zn8 Zn 0.301 0.013 0.424
Zn9 Zn 0.182 0.666 0.660
Zn10 Zn 0.500 0.500 0.500
Zn11 Zn 0.000 0.500 0.500
Zn12 Zn 0.640 0.360 0.750
Zn13 Zn 0.500 0.000 0.000
Zn14 Zn 0.500 0.500 0.000
Sb1 Sb 0.825 0.830 0.335
Sb2 Sb 0.175 0.170 0.665
Sb3 Sb 0.830 0.825 0.835
Sb4 Sb 0.170 0.175 0.165
O1 O 0.286 0.749 0.994
O2 O 0.926 0.391 0.173
O3 O 0.240 0.243 0.012
O4 O 0.609 0.074 0.327
O5 O 0.925 0.929 0.176
O6 O 0.757 0.760 0.488
O7 O 0.251 0.714 0.506
O8 O 0.397 0.397 0.671
O9 O 0.603 0.603 0.329
O10 O 0.949 0.400 0.664
O11 O 0.243 0.240 0.512
O12 O 0.749 0.286 0.494
O13 O 0.075 0.071 0.824
O14 O 0.600 0.051 0.836
O15 O 0.760 0.757 0.988
O16 O 0.391 0.926 0.673
O17 O 0.929 0.925 0.676
O18 O 0.074 0.609 0.827
O19 O 0.603 0.603 0.829
O20 O 0.397 0.397 0.171
O21 O 0.071 0.075 0.324
O22 O 0.714 0.251 0.006
O23 O 0.400 0.949 0.164
O24 O 0.051 0.600 0.336
```

## Properties
Corrected total energy (MP2020 scheme), eV for the cell shown: -229.44
ΔE_f, eV/atom: -1.822